No. 1
! V6PbO11 GGA+U relaxed; values from VASP
&SYSTEM
  ibrav = 0, nat = 36, ntyp = 3
/
ATOMIC_SPECIES
V 50.94 V.upf
Pb 207.20 Pb.upf
O 16.00 O.upf
ATOMIC_POSITIONS crystal
V 0.000 0.000 0.000
V 0.000 0.004 0.504
V 0.002 0.498 0.647
V 0.330 0.836 0.249
V 0.495 0.505 0.000
V 0.496 0.003 0.002
V 0.497 0.506 0.502
V 0.502 0.001 0.504
V 0.663 0.170 0.752
V 0.992 0.509 0.356
V 0.993 0.500 0.148
V 0.998 0.507 0.859
Pb 0.329 0.837 0.745
Pb 0.650 0.171 0.270
O 0.144 0.646 0.247
O 0.151 0.209 0.253
O 0.176 0.678 0.919
O 0.180 0.148 0.586
O 0.181 0.671 0.583
O 0.184 0.151 0.922
O 0.293 0.360 0.753
O 0.338 0.842 0.086
O 0.340 0.823 0.418
O 0.341 0.327 0.081
O 0.355 0.336 0.422
O 0.650 0.685 0.921
O 0.653 0.665 0.585
O 0.659 0.165 0.913
O 0.660 0.181 0.593
O 0.700 0.653 0.250
O 0.823 0.333 0.423
O 0.823 0.845 0.081
O 0.823 0.856 0.420
O 0.837 0.822 0.750
O 0.839 0.351 0.755
O 0.840 0.341 0.079
CELL_PARAMETERS angstrom
5.931 0.000 0.000
2.935 5.164 0.000
0.021 0.003 13.321
! * size of the total moment: 10.00 μB/f.u.
! * energy relative to the lowest polymorph listed for this composition: 1 meV/atom
! * symmetry: P1 (1)
! * calculated formation energy: -2386.0 meV per atom
! * DFT total energy: -7.66 eV/atom

***

No. 2
! V17Pb3O32 GGA+U relaxed; values from VASP
&SYSTEM
  ibrav = 0, nat = 52, ntyp = 3
/
ATOMIC_SPECIES
V 50.94 V.upf
Pb 207.20 Pb.upf
O 16.00 O.upf
ATOMIC_POSITIONS crystal
V 0.000 0.000 0.000
V 0.004 0.295 0.032
V 0.111 0.552 0.218
V 0.153 0.307 0.300
V 0.172 0.030 0.341
V 0.228 0.784 0.459
V 0.363 0.316 0.716
V 0.419 0.050 0.833
V 0.445 0.788 0.890
V 0.483 0.526 0.971
V 0.646 0.133 0.167
V 0.653 0.790 0.301
V 0.689 0.549 0.379
V 0.721 0.259 0.444
V 0.871 0.814 0.736
V 0.907 0.545 0.809
V 0.936 0.284 0.865
Pb 0.071 0.830 0.128
Pb 0.294 0.534 0.586
Pb 0.810 0.036 0.618
O 0.014 0.169 0.083
O 0.056 0.446 0.121
O 0.115 0.720 0.224
O 0.133 0.114 0.231
O 0.155 0.481 0.309
O 0.187 0.871 0.374
O 0.193 0.220 0.389
O 0.227 0.614 0.460
O 0.279 0.890 0.557
O 0.314 0.206 0.623
O 0.367 0.488 0.724
O 0.396 0.859 0.787
O 0.404 0.217 0.800
O 0.442 0.606 0.884
O 0.464 0.982 0.930
O 0.484 0.345 0.980
O 0.524 0.989 0.085
O 0.528 0.644 0.059
O 0.609 0.289 0.221
O 0.636 0.599 0.268
O 0.636 0.935 0.264
O 0.688 0.372 0.378
O 0.704 0.737 0.410
O 0.708 0.087 0.417
O 0.772 0.363 0.544
O 0.822 0.711 0.639
O 0.879 0.994 0.750
O 0.888 0.357 0.767
O 0.908 0.717 0.811
O 0.953 0.148 0.908
O 0.958 0.468 0.918
O 0.980 0.825 0.967
CELL_PARAMETERS angstrom
3.427 0.000 0.000
-0.012 11.628 0.000
-1.638 -5.136 16.070
! * size of the total moment: 27.00 μB/f.u.
! * symmetry: P1 (1)
! * calculated formation energy: -2305.1 meV per atom
! * DFT total energy: -7.56 eV/atom

***

No. 3
! V2PbO2 GGA+U relaxed; values from VASP
&SYSTEM
  ibrav = 0, nat = 20, ntyp = 3
/
ATOMIC_SPECIES
V 50.94 V.upf
Pb 207.20 Pb.upf
O 16.00 O.upf
ATOMIC_POSITIONS crystal
V 0.211 0.698 0.513
V 0.302 0.315 0.513
V 0.302 0.789 0.987
V 0.315 0.302 0.013
V 0.685 0.698 0.987
V 0.698 0.211 0.013
V 0.698 0.685 0.487
V 0.789 0.302 0.487
Pb 0.000 0.000 0.000
Pb 0.000 0.000 0.500
Pb 0.000 0.500 0.000
Pb 0.500 0.000 0.500
O 0.180 0.266 0.585
O 0.180 0.595 0.915
O 0.266 0.180 0.085
O 0.405 0.820 0.585
O 0.595 0.180 0.415
O 0.734 0.820 0.915
O 0.820 0.405 0.085
O 0.820 0.734 0.415
CELL_PARAMETERS angstrom
-3.937 3.937 6.563
3.937 -3.937 6.563
3.937 3.937 -6.563
! * size of the total moment: 4.00 μB/f.u.
! * symmetry: I4_1/amd (141)
! * calculated formation energy: -321.4 meV per atom
! * DFT total energy: -5.72 eV/atom

***

No. 4
! V6PbO15 GGA+U relaxed; values from VASP
&SYSTEM
  ibrav = 0, nat = 22, ntyp = 3
/
ATOMIC_SPECIES
V 50.94 V.upf
Pb 207.20 Pb.upf
O 16.00 O.upf
ATOMIC_POSITIONS crystal
V 0.000 0.000 0.000
V 0.334 0.334 0.800
V 0.384 0.384 0.489
V 0.544 0.544 0.789
V 0.781 0.781 0.011
V 0.950 0.950 0.309
Pb 0.666 0.666 0.300
O 0.035 0.035 0.829
O 0.062 0.062 0.370
O 0.103 0.103 0.127
O 0.234 0.234 0.687
O 0.269 0.269 0.423
O 0.301 0.301 0.977
O 0.404 0.404 0.689
O 0.424 0.424 0.326
O 0.481 0.481 0.947
O 0.548 0.548 0.633
O 0.667 0.667 0.902
O 0.774 0.774 0.168
O 0.852 0.852 0.859
O 0.912 0.912 0.472
O 0.926 0.926 0.126
CELL_PARAMETERS angstrom
7.836 -1.866 0.000
7.836 1.866 0.000
-3.531 0.000 9.772
! * size of the total moment: 2.00 μB/f.u.
! * energy relative to the lowest polymorph listed for this composition: 14 meV/atom
! * symmetry: Cm (8)
! * calculated formation energy: -2284.5 meV per atom
! * DFT total energy: -7.37 eV/atom

***

No. 5
! V6PbO11 GGA+U relaxed; values from VASP
&SYSTEM
  ibrav = 0, nat = 36, ntyp = 3
/
ATOMIC_SPECIES
V 50.94 V.upf
Pb 207.20 Pb.upf
O 16.00 O.upf
ATOMIC_POSITIONS crystal
V 0.000 0.000 0.000
V 0.000 0.000 0.206
V 0.000 0.000 0.500
V 0.000 0.000 0.706
V 0.003 0.502 0.350
V 0.333 0.667 0.609
V 0.498 0.502 0.350
V 0.498 0.997 0.350
V 0.502 0.003 0.850
V 0.502 0.498 0.850
V 0.667 0.333 0.109
V 0.997 0.498 0.850
Pb 0.333 0.667 0.075
Pb 0.667 0.333 0.575
O 0.148 0.296 0.603
O 0.148 0.852 0.603
O 0.170 0.340 0.278
O 0.170 0.830 0.278
O 0.177 0.354 0.932
O 0.177 0.823 0.932
O 0.296 0.148 0.103
O 0.333 0.667 0.433
O 0.333 0.667 0.769
O 0.340 0.170 0.778
O 0.354 0.177 0.432
O 0.646 0.823 0.932
O 0.660 0.830 0.278
O 0.667 0.333 0.269
O 0.667 0.333 0.933
O 0.704 0.852 0.603
O 0.823 0.177 0.432
O 0.823 0.646 0.432
O 0.830 0.170 0.778
O 0.830 0.660 0.778
O 0.852 0.148 0.103
O 0.852 0.704 0.103
CELL_PARAMETERS angstrom
5.937 0.000 0.000
-2.968 5.142 0.000
0.000 0.000 13.583
! * size of the total moment: 10.00 μB/f.u.
! * energy relative to the lowest polymorph listed for this composition: 0 meV/atom
! * symmetry: P6_3mc (186)
! * calculated formation energy: -2387.1 meV per atom
! * DFT total energy: -7.66 eV/atom

***

No. 6
! V3Pb5O12 GGA+U relaxed; values from VASP
&SYSTEM
  ibrav = 0, nat = 40, ntyp = 3
/
ATOMIC_SPECIES
V 50.94 V.upf
Pb 207.20 Pb.upf
O 16.00 O.upf
ATOMIC_POSITIONS crystal
V 0.017 0.621 0.250
V 0.379 0.396 0.250
V 0.396 0.017 0.750
V 0.604 0.983 0.250
V 0.621 0.604 0.750
V 0.983 0.379 0.750
Pb 0.005 0.257 0.250
Pb 0.252 0.995 0.250
Pb 0.257 0.252 0.750
Pb 0.333 0.667 0.510
Pb 0.333 0.667 0.990
Pb 0.667 0.333 0.010
Pb 0.667 0.333 0.490
Pb 0.743 0.748 0.250
Pb 0.748 0.005 0.750
Pb 0.995 0.743 0.750
O 0.082 0.740 0.064
O 0.082 0.740 0.436
O 0.105 0.509 0.250
O 0.182 0.488 0.750
O 0.260 0.343 0.064
O 0.260 0.343 0.436
O 0.306 0.818 0.750
O 0.343 0.082 0.564
O 0.343 0.082 0.936
O 0.404 0.895 0.250
O 0.488 0.306 0.250
O 0.491 0.596 0.250
O 0.509 0.404 0.750
O 0.512 0.694 0.750
O 0.596 0.105 0.750
O 0.657 0.918 0.064
O 0.657 0.918 0.436
O 0.694 0.182 0.250
O 0.740 0.657 0.564
O 0.740 0.657 0.936
O 0.818 0.512 0.250
O 0.895 0.491 0.750
O 0.918 0.260 0.564
O 0.918 0.260 0.936
CELL_PARAMETERS angstrom
10.342 0.000 0.000
-5.171 8.957 0.000
0.000 0.000 7.476
! * size of the total moment: 1.00 μB/f.u.
! * symmetry: P6_3/m (176)
! * calculated formation energy: -1997.0 meV per atom
! * DFT total energy: -6.59 eV/atom

***

No. 7
! V3Pb4O12 GGA+U relaxed; values from VASP
&SYSTEM
  ibrav = 0, nat = 38, ntyp = 3
/
ATOMIC_SPECIES
V 50.94 V.upf
Pb 207.20 Pb.upf
O 16.00 O.upf
ATOMIC_POSITIONS crystal
V 0.125 0.875 0.250
V 0.250 0.125 0.875
V 0.375 0.625 0.750
V 0.625 0.750 0.375
V 0.750 0.375 0.625
V 0.875 0.250 0.125
Pb 0.000 0.164 0.500
Pb 0.000 0.664 0.500
Pb 0.164 0.500 0.000
Pb 0.336 0.336 0.336
Pb 0.500 0.000 0.164
Pb 0.500 0.000 0.664
Pb 0.664 0.500 0.000
Pb 0.836 0.836 0.836
O 0.072 0.919 0.731
O 0.081 0.312 0.153
O 0.153 0.081 0.312
O 0.159 0.847 0.428
O 0.188 0.269 0.841
O 0.231 0.419 0.572
O 0.269 0.841 0.188
O 0.312 0.153 0.081
O 0.341 0.769 0.688
O 0.347 0.659 0.928
O 0.419 0.572 0.231
O 0.428 0.159 0.847
O 0.572 0.231 0.419
O 0.581 0.653 0.812
O 0.653 0.812 0.581
O 0.659 0.928 0.347
O 0.688 0.341 0.769
O 0.731 0.072 0.919
O 0.769 0.688 0.341
O 0.812 0.581 0.653
O 0.841 0.188 0.269
O 0.847 0.428 0.159
O 0.919 0.731 0.072
O 0.928 0.347 0.659
CELL_PARAMETERS angstrom
-5.501 5.501 5.501
5.501 -5.501 5.501
5.501 5.501 -5.501
! * symmetry: I-43d (220)
! * calculated formation energy: -2045.8 meV per atom
! * DFT total energy: -6.68 eV/atom

***

No. 8
! V6PbO15 GGA+U relaxed; values from VASP
&SYSTEM
  ibrav = 0, nat = 88, ntyp = 3
/
ATOMIC_SPECIES
V 50.94 V.upf
Pb 207.20 Pb.upf
O 16.00 O.upf
ATOMIC_POSITIONS crystal
V 0.090 0.127 0.467
V 0.090 0.373 0.967
V 0.094 0.623 0.468
V 0.094 0.877 0.968
V 0.383 0.626 0.630
V 0.383 0.874 0.130
V 0.393 0.123 0.634
V 0.393 0.377 0.134
V 0.397 0.127 0.418
V 0.397 0.373 0.918
V 0.404 0.624 0.416
V 0.404 0.876 0.916
V 0.596 0.124 0.084
V 0.596 0.376 0.584
V 0.603 0.627 0.082
V 0.603 0.873 0.582
V 0.607 0.623 0.866
V 0.607 0.877 0.366
V 0.617 0.126 0.870
V 0.617 0.374 0.370
V 0.906 0.123 0.032
V 0.906 0.377 0.532
V 0.910 0.627 0.033
V 0.910 0.873 0.533
Pb 0.107 0.117 0.747
Pb 0.107 0.383 0.247
Pb 0.893 0.617 0.753
Pb 0.893 0.883 0.253
O 0.030 0.129 0.353
O 0.030 0.371 0.853
O 0.034 0.619 0.355
O 0.034 0.881 0.855
O 0.071 0.632 0.993
O 0.071 0.868 0.493
O 0.076 0.119 0.997
O 0.076 0.381 0.497
O 0.230 0.123 0.635
O 0.230 0.377 0.135
O 0.235 0.626 0.644
O 0.235 0.874 0.144
O 0.277 0.625 0.492
O 0.277 0.875 0.992
O 0.281 0.605 0.316
O 0.281 0.895 0.816
O 0.284 0.141 0.316
O 0.284 0.359 0.816
O 0.288 0.123 0.488
O 0.288 0.377 0.988
O 0.425 0.123 0.118
O 0.425 0.377 0.618
O 0.425 0.628 0.118
O 0.425 0.872 0.618
O 0.452 0.617 0.930
O 0.452 0.883 0.430
O 0.459 0.132 0.942
O 0.459 0.368 0.442
O 0.495 0.124 0.749
O 0.495 0.376 0.249
O 0.505 0.624 0.751
O 0.505 0.876 0.251
O 0.541 0.632 0.558
O 0.541 0.868 0.058
O 0.548 0.117 0.570
O 0.548 0.383 0.070
O 0.575 0.128 0.382
O 0.575 0.372 0.882
O 0.575 0.623 0.382
O 0.575 0.877 0.882
O 0.712 0.623 0.012
O 0.712 0.877 0.512
O 0.716 0.641 0.184
O 0.716 0.859 0.684
O 0.719 0.105 0.184
O 0.719 0.395 0.684
O 0.723 0.125 0.008
O 0.723 0.375 0.508
O 0.765 0.126 0.856
O 0.765 0.374 0.356
O 0.770 0.623 0.865
O 0.770 0.877 0.365
O 0.924 0.619 0.503
O 0.924 0.881 0.003
O 0.929 0.132 0.507
O 0.929 0.368 0.007
O 0.966 0.119 0.145
O 0.966 0.381 0.645
O 0.970 0.629 0.147
O 0.970 0.871 0.647
CELL_PARAMETERS angstrom
10.412 0.000 0.000
0.000 7.416 0.000
-5.227 0.000 14.763
! * size of the total moment: 2.00 μB/f.u.
! * energy relative to the lowest polymorph listed for this composition: 0 meV/atom
! * symmetry: P2_1/c (14)
! * calculated formation energy: -2298.6 meV per atom
! * DFT total energy: -7.39 eV/atom